Compound: Er3Ga5O12
Source: Materials Project
Functional: r2SCAN
Structure: relaxed

The structure in CIF format:
```
data_Er3Ga5O12
_chemical_formula_sum 'Er12 Ga20 O48'
_cell_length_a 10.582
_cell_length_b 10.582
_cell_length_c 10.582
_cell_angle_alpha 109.47
_cell_angle_beta 109.47
_cell_angle_gamma 109.47
_space_group_name_H-M_alt 'P 1'
_space_group_IT_number 1
_space_group_name_Hall 'P 1'
loop_
_atom_site_label
_atom_site_fract_x
_atom_site_fract_y
_atom_site_fract_z
Er1 0.125 0.250 0.375
Er2 0.125 0.375 0.750
Er3 0.250 0.375 0.125
Er4 0.250 0.875 0.625
Er5 0.375 0.125 0.250
Er6 0.375 0.750 0.125
Er7 0.625 0.250 0.875
Er8 0.625 0.875 0.750
Er9 0.750 0.125 0.375
Er10 0.750 0.625 0.875
Er11 0.875 0.625 0.250
Er12 0.875 0.750 0.625
Ga1 0.000 0.000 0.000
Ga2 0.000 0.000 0.500
Ga3 0.000 0.500 0.000
Ga4 0.000 0.500 0.500
Ga5 0.125 0.750 0.875
Ga6 0.125 0.875 0.250
Ga7 0.250 0.125 0.875
Ga8 0.250 0.625 0.375
Ga9 0.375 0.250 0.625
Ga10 0.375 0.625 0.750
Ga11 0.500 0.000 0.000
Ga12 0.500 0.000 0.500
Ga13 0.500 0.500 0.000
Ga14 0.500 0.500 0.500
Ga15 0.625 0.375 0.250
Ga16 0.625 0.750 0.375
Ga17 0.750 0.375 0.625
Ga18 0.750 0.875 0.125
Ga19 0.875 0.125 0.750
Ga20 0.875 0.250 0.125
O1 0.030 0.207 0.124
O2 0.030 0.323 0.906
O3 0.084 0.707 0.677
O4 0.084 0.876 0.406
O5 0.094 0.624 0.416
O6 0.094 0.970 0.677
O7 0.124 0.030 0.207
O8 0.124 0.594 0.916
O9 0.177 0.207 0.584
O10 0.177 0.470 0.594
O11 0.207 0.124 0.030
O12 0.207 0.584 0.177
O13 0.293 0.323 0.916
O14 0.293 0.470 0.376
O15 0.323 0.906 0.030
O16 0.323 0.916 0.293
O17 0.376 0.293 0.470
O18 0.376 0.584 0.906
O19 0.406 0.084 0.876
O20 0.406 0.823 0.530
O21 0.416 0.094 0.624
O22 0.416 0.823 0.793
O23 0.470 0.376 0.293
O24 0.470 0.594 0.177
O25 0.530 0.406 0.823
O26 0.530 0.624 0.707
O27 0.584 0.177 0.207
O28 0.584 0.906 0.376
O29 0.594 0.177 0.470
O30 0.594 0.916 0.124
O31 0.624 0.416 0.094
O32 0.624 0.707 0.530
O33 0.677 0.084 0.707
O34 0.677 0.094 0.970
O35 0.707 0.530 0.624
O36 0.707 0.677 0.084
O37 0.793 0.416 0.823
O38 0.793 0.876 0.970
O39 0.823 0.530 0.406
O40 0.823 0.793 0.416
O41 0.876 0.406 0.084
O42 0.876 0.970 0.793
O43 0.906 0.030 0.323
O44 0.906 0.376 0.584
O45 0.916 0.124 0.594
O46 0.916 0.293 0.323
O47 0.970 0.677 0.094
O48 0.970 0.793 0.876
```

Computed properties:
The energy of formation from the pure elements comes out at -2.851 eV/atom. The total moment is 0.00 μB/cell. The total DFT energy (no corrections) comes out at -0.5286 hartree per atom.



Compound: ErGaO3
Source: Materials Project
Functional: r2SCAN
Structure: relaxed

The structure in CIF format:
```
data_ErGaO3
_chemical_formula_sum 'Er6 Ga6 O18'
_cell_length_a 5.985
_cell_length_b 5.985
_cell_length_c 11.609
_cell_angle_alpha 90.00
_cell_angle_beta 90.00
_cell_angle_gamma 120.00
_space_group_name_H-M_alt 'P 1'
_space_group_IT_number 1
_space_group_name_Hall 'P 1'
loop_
_atom_site_label
_atom_site_fract_x
_atom_site_fract_y
_atom_site_fract_z
Er1 0.000 0.000 0.000
Er2 0.000 0.000 0.500
Er3 0.333 0.667 0.458
Er4 0.333 0.667 0.958
Er5 0.667 0.333 0.458
Er6 0.667 0.333 0.958
Ga1 0.000 0.334 0.225
Ga2 0.000 0.666 0.725
Ga3 0.334 0.000 0.225
Ga4 0.334 0.334 0.725
Ga5 0.666 0.000 0.725
Ga6 0.666 0.666 0.225
O1 0.000 0.000 0.202
O2 0.000 0.000 0.702
O3 0.000 0.306 0.389
O4 0.000 0.361 0.063
O5 0.000 0.639 0.563
O6 0.000 0.694 0.889
O7 0.306 0.000 0.389
O8 0.306 0.306 0.889
O9 0.333 0.667 0.245
O10 0.333 0.667 0.745
O11 0.361 0.000 0.063
O12 0.361 0.361 0.563
O13 0.639 0.000 0.563
O14 0.639 0.639 0.063
O15 0.667 0.333 0.245
O16 0.667 0.333 0.745
O17 0.694 0.000 0.889
O18 0.694 0.694 0.389
```

Computed properties:
The energy of formation from the pure elements comes out at -3.059 eV/atom. The total moment is 0.00 μB/cell. The total DFT energy (no corrections) comes out at -0.5775 hartree per atom.



Compound: Er4Ga12Pd
Source: Materials Project
Functional: r2SCAN
Structure: relaxed

The structure in CIF format:
```
data_Er4Ga12Pd
_chemical_formula_sum 'Er4 Ga12 Pd1'
_cell_length_a 7.366
_cell_length_b 7.366
_cell_length_c 7.366
_cell_angle_alpha 109.47
_cell_angle_beta 109.47
_cell_angle_gamma 109.47
_space_group_name_H-M_alt 'P 1'
_space_group_IT_number 1
_space_group_name_Hall 'P 1'
loop_
_atom_site_label
_atom_site_fract_x
_atom_site_fract_y
_atom_site_fract_z
Er1 0.000 0.000 0.500
Er2 0.000 0.500 0.000
Er3 0.500 0.000 0.000
Er4 0.500 0.500 0.500
Ga1 0.000 0.298 0.298
Ga2 0.000 0.702 0.702
Ga3 0.250 0.500 0.750
Ga4 0.250 0.750 0.500
Ga5 0.298 0.000 0.298
Ga6 0.298 0.298 0.000
Ga7 0.500 0.250 0.750
Ga8 0.500 0.750 0.250
Ga9 0.702 0.000 0.702
Ga10 0.702 0.702 0.000
Ga11 0.750 0.250 0.500
Ga12 0.750 0.500 0.250
Pd1 0.000 0.000 0.000
```

Computed properties:
The energy of formation from the pure elements comes out at -0.631 eV/atom. The total moment is 0.00 μB/cell. The total DFT energy (no corrections) comes out at -0.6630 hartree per atom.



Compound: ErGa2Pd
Source: Materials Project
Functional: r2SCAN
Structure: relaxed

The structure in CIF format:
```
data_ErGa2Pd
_chemical_formula_sum 'Er2 Ga4 Pd2'
_cell_length_a 5.474
_cell_length_b 5.474
_cell_length_c 6.531
_cell_angle_alpha 90.00
_cell_angle_beta 90.00
_cell_angle_gamma 132.83
_space_group_name_H-M_alt 'P 1'
_space_group_IT_number 1
_space_group_name_Hall 'P 1'
loop_
_atom_site_label
_atom_site_fract_x
_atom_site_fract_y
_atom_site_fract_z
Er1 0.088 0.912 0.750
Er2 0.912 0.088 0.250
Ga1 0.373 0.627 0.554
Ga2 0.373 0.627 0.946
Ga3 0.627 0.373 0.054
Ga4 0.627 0.373 0.446
Pd1 0.201 0.799 0.250
Pd2 0.799 0.201 0.750
```

Computed properties:
The energy of formation from the pure elements comes out at -0.856 eV/atom. The total moment is 0.00 μB/cell. The total DFT energy (no corrections) comes out at -0.7643 hartree per atom.



Compound: Er4Ga12Pt
Source: Materials Project
Functional: r2SCAN
Structure: relaxed

The structure in CIF format:
```
data_Er4Ga12Pt
_chemical_formula_sum 'Er4 Ga12 Pt1'
_cell_length_a 7.362
_cell_length_b 7.362
_cell_length_c 7.362
_cell_angle_alpha 109.47
_cell_angle_beta 109.47
_cell_angle_gamma 109.47
_space_group_name_H-M_alt 'P 1'
_space_group_IT_number 1
_space_group_name_Hall 'P 1'
loop_
_atom_site_label
_atom_site_fract_x
_atom_site_fract_y
_atom_site_fract_z
Er1 0.000 0.000 0.500
Er2 0.000 0.500 0.000
Er3 0.500 0.000 0.000
Er4 0.500 0.500 0.500
Ga1 0.000 0.298 0.298
Ga2 0.000 0.702 0.702
Ga3 0.250 0.500 0.750
Ga4 0.250 0.750 0.500
Ga5 0.298 0.000 0.298
Ga6 0.298 0.298 0.000
Ga7 0.500 0.250 0.750
Ga8 0.500 0.750 0.250
Ga9 0.702 0.000 0.702
Ga10 0.702 0.702 0.000
Ga11 0.750 0.250 0.500
Ga12 0.750 0.500 0.250
Pt1 0.000 0.000 0.000
```

Computed properties:
The energy of formation from the pure elements comes out at -0.660 eV/atom. The total moment is 0.00 μB/cell. The total DFT energy (no corrections) comes out at -0.7258 hartree per atom.



Compound: ErGa3Ru
Source: Materials Project
Functional: r2SCAN
Structure: relaxed

The structure in CIF format:
```
data_ErGa3Ru
_chemical_formula_sum 'Er3 Ga9 Ru3'
_cell_length_a 6.346
_cell_length_b 6.346
_cell_length_c 6.346
_cell_angle_alpha 90.00
_cell_angle_beta 90.00
_cell_angle_gamma 90.00
_space_group_name_H-M_alt 'P 1'
_space_group_IT_number 1
_space_group_name_Hall 'P 1'
loop_
_atom_site_label
_atom_site_fract_x
_atom_site_fract_y
_atom_site_fract_z
Er1 0.000 0.000 0.500
Er2 0.000 0.500 0.000
Er3 0.500 0.000 0.000
Ga1 0.000 0.000 0.000
Ga2 0.289 0.289 0.289
Ga3 0.289 0.289 0.711
Ga4 0.289 0.711 0.289
Ga5 0.289 0.711 0.711
Ga6 0.711 0.289 0.289
Ga7 0.711 0.289 0.711
Ga8 0.711 0.711 0.289
Ga9 0.711 0.711 0.711
Ru1 0.000 0.500 0.500
Ru2 0.500 0.000 0.500
Ru3 0.500 0.500 0.000
```

Computed properties:
The energy of formation from the pure elements comes out at -0.635 eV/atom. The total moment is 0.00 μB/cell. The total DFT energy (no corrections) comes out at -0.7119 hartree per atom.



Compound: Er3GaS6
Source: Materials Project
Functional: r2SCAN
Structure: relaxed

The structure in CIF format:
```
data_Er3GaS6
_chemical_formula_sum 'Er6 Ga2 S12'
_cell_length_a 8.432
_cell_length_b 8.432
_cell_length_c 6.388
_cell_angle_alpha 90.00
_cell_angle_beta 90.00
_cell_angle_gamma 102.39
_space_group_name_H-M_alt 'P 1'
_space_group_IT_number 1
_space_group_name_Hall 'P 1'
loop_
_atom_site_label
_atom_site_fract_x
_atom_site_fract_y
_atom_site_fract_z
Er1 0.097 0.903 0.500
Er2 0.216 0.414 0.409
Er3 0.414 0.216 0.909
Er4 0.586 0.784 0.409
Er5 0.784 0.586 0.909
Er6 0.903 0.097 0.000
Ga1 0.299 0.701 0.873
Ga2 0.701 0.299 0.373
S1 0.066 0.602 0.693
S2 0.131 0.194 0.706
S3 0.194 0.131 0.206
S4 0.283 0.717 0.226
S5 0.398 0.934 0.693
S6 0.459 0.541 0.727
S7 0.541 0.459 0.227
S8 0.602 0.066 0.193
S9 0.717 0.283 0.726
S10 0.806 0.869 0.706
S11 0.869 0.806 0.206
S12 0.934 0.398 0.193
```

Computed properties:
The energy of formation from the pure elements comes out at -1.981 eV/atom. The total moment is 0.00 μB/cell. The total DFT energy (no corrections) comes out at -0.6660 hartree per atom.



Compound: ErTi2Ga4
Source: Materials Project
Functional: r2SCAN
Structure: relaxed

The structure in CIF format:
```
data_ErTi2Ga4
_chemical_formula_sum 'Er1 Ti2 Ga4'
_cell_length_a 5.454
_cell_length_b 5.454
_cell_length_c 5.454
_cell_angle_alpha 104.27
_cell_angle_beta 104.27
_cell_angle_gamma 120.47
_space_group_name_H-M_alt 'P 1'
_space_group_IT_number 1
_space_group_name_Hall 'P 1'
loop_
_atom_site_label
_atom_site_fract_x
_atom_site_fract_y
_atom_site_fract_z
Er1 0.000 0.000 0.000
Ti1 0.250 0.750 0.500
Ti2 0.750 0.250 0.500
Ga1 0.303 0.303 0.606
Ga2 0.303 0.697 0.000
Ga3 0.697 0.303 0.000
Ga4 0.697 0.697 0.394
```

Computed properties:
The energy of formation from the pure elements comes out at -0.594 eV/atom. The total moment is 0.00 μB/cell. The total DFT energy (no corrections) comes out at -0.5761 hartree per atom.